DFT (r²SCAN) results for crystalline CaCrF4 at its relaxed geometry.

```
12
Lattice="-2.7142 2.7142 5.2922 2.7142 -2.7142 5.2922 2.7142 2.7142 -5.2922" Properties=species:S:1:pos:R:3 pbc="T T T"
Ca 0.0000 0.0000 2.6461
Ca 0.0000 0.0000 7.9383
Cr 2.7142 0.0000 0.0000
Cr 0.0000 2.7142 0.0000
F 3.7128 0.9986 -1.3780
F 0.9986 1.7156 -1.3780
F 3.7128 0.9986 1.3780
F 0.9986 1.7156 1.3780
F 1.7156 0.9986 3.9142
F -0.9986 1.7156 3.9142
F 1.7156 0.9986 6.6702
F -0.9986 1.7156 6.6702
```

Computed properties:
V: 156 Å³ per cell



DFT (r²SCAN) results for crystalline Ca2CrN3 at its relaxed geometry.

```
24
Lattice="2.7293 -5.2159 0.0000 2.7293 5.2159 0.0000 0.0000 0.0000 11.6137" Properties=species:S:1:pos:R:3 pbc="T T T"
Ca 2.7293 4.7152 9.9382
Ca 2.7293 3.7605 4.9164
Ca 2.7293 1.4554 10.7232
Ca 2.7293 0.5007 4.1314
Ca 2.7293 -0.5007 7.4823
Ca 2.7293 -1.4554 0.8904
Ca 2.7293 -3.7605 6.6973
Ca 2.7293 -4.7152 1.6755
Cr 2.7293 2.6278 7.6855
Cr 2.7293 2.5881 1.8787
Cr 2.7293 -2.5881 9.7350
Cr 2.7293 -2.6278 3.9281
N 1.3646 2.1234 8.7102
N 2.7293 4.3440 7.3660
N 2.7293 3.5773 0.4297
N 2.7293 1.6386 6.2365
N 2.7293 0.8719 1.5592
N 1.3646 -2.1234 2.9034
N 4.0939 2.1234 8.7102
N 2.7293 -0.8719 10.0544
N 2.7293 -1.6386 5.3771
N 2.7293 -3.5773 11.1840
N 2.7293 -4.3440 4.2476
N 4.0939 -2.1234 2.9034
```

Computed properties:
V: 331 Å³ per cell



DFT (r²SCAN) results for crystalline CaCr2O4 at its relaxed geometry.

```
28
Lattice="5.8822 0.0000 0.0000 0.0000 10.9916 0.0000 0.0000 0.0000 5.1056" Properties=species:S:1:pos:R:3 pbc="T T T"
Ca 1.4706 2.7479 0.1777
Ca 1.4706 8.2437 1.8120
Ca 4.4117 2.7479 3.2936
Ca 4.4117 8.2437 4.9279
Cr 0.0000 0.0000 2.5528
Cr 0.0000 5.4958 2.5528
Cr 1.4706 5.5966 5.0786
Cr 1.4706 10.8909 5.0786
Cr 2.9411 0.0000 2.5528
Cr 2.9411 5.4958 2.5528
Cr 4.4117 0.1007 0.0270
Cr 4.4117 5.3951 0.0270
O 0.0203 1.0961 4.2620
O 0.0203 4.3997 4.2620
O 1.4706 0.9770 1.6431
O 1.4706 4.5188 1.6431
O 1.4706 6.5576 3.3651
O 1.4706 9.9299 3.3651
O 2.9208 1.0961 4.2620
O 2.9208 4.3997 4.2620
O 2.9614 6.5919 0.8436
O 2.9614 9.8955 0.8436
O 4.4117 1.0618 1.7405
O 4.4117 4.4340 1.7405
O 4.4117 6.4729 3.4625
O 4.4117 10.0146 3.4625
O 5.8619 6.5919 0.8436
O 5.8619 9.8955 0.8436
```

Computed properties:
V: 330 Å³ per cell



DFT (r²SCAN) results for crystalline CaCr2O4 at its relaxed geometry.

```
28
Lattice="9.0642 0.0000 0.0000 0.0000 2.9903 0.0000 0.0000 0.0000 10.6301" Properties=species:S:1:pos:R:3 pbc="T T T"
Ca 2.1779 0.7476 1.6925
Ca 2.3542 2.2428 7.0075
Ca 6.7100 0.7476 3.6226
Ca 6.8863 2.2428 8.9376
Cr 0.5426 0.7476 4.1156
Cr 0.7600 0.7476 9.5559
Cr 3.7721 2.2428 4.2408
Cr 3.9895 2.2428 9.4306
Cr 5.0747 0.7476 1.1994
Cr 5.2921 0.7476 6.3892
Cr 8.3042 2.2428 1.0742
Cr 8.5216 2.2428 6.5145
O 0.2574 2.2428 8.3524
O 0.7350 0.7476 6.0948
O 1.0593 2.2428 0.2561
O 1.8278 2.2428 3.6017
O 2.7043 0.7476 8.9167
O 3.4728 0.7476 5.5711
O 3.7971 2.2428 0.7797
O 4.2747 0.7476 3.0374
O 4.7895 2.2428 7.5927
O 5.2671 0.7476 9.8503
O 5.5914 2.2428 5.0590
O 6.3599 2.2428 1.7133
O 7.2364 0.7476 7.0284
O 8.0049 0.7476 10.3740
O 8.3292 2.2428 4.5353
O 8.8068 0.7476 2.2776
```

Computed properties:
V: 288 Å³ per cell



DFT (r²SCAN) results for crystalline Ca2CrSbO6 at its relaxed geometry.

```
40
Lattice="-4.5346 0.4901 -2.9060 2.2389 -3.0659 -4.0107 -5.5514 -12.7389 6.6390" Properties=species:S:1:pos:R:3 pbc="T T T"
Ca -1.7854 -3.0186 -2.8611
Ca -4.5610 -9.3881 0.4585
Ca -0.0040 -7.6831 -1.3634
Ca -2.7798 -14.0527 1.9559
Ca -3.2860 -5.9267 -0.7362
Ca -6.0619 -12.2961 2.5832
Ca -5.0671 -1.2622 -2.2337
Ca -7.8428 -7.6316 1.0858
Cr -3.0441 -11.0870 2.9736
Cr -5.0429 -6.1247 1.8667
Cr -0.2683 -4.7175 -0.3458
Cr -2.2673 0.2447 -1.4530
Sb -4.4320 -14.2719 4.6334
Sb -6.1907 -7.4123 -1.5919
Sb -3.6550 -2.9398 0.2068
Sb -6.4308 -9.3093 3.5262
O -0.3828 -4.3838 -4.2747
O -3.1584 -10.7532 -0.9551
O -5.0443 -5.9462 -2.2653
O -7.8201 -12.3155 1.0540
O -4.6881 -4.5614 0.6771
O -7.4639 -10.9308 3.9964
O -0.0271 -2.9998 -1.3320
O -2.8028 -9.3693 1.9876
O -3.0855 -4.9449 -3.9858
O -5.8614 -11.3143 -0.6664
O -2.4071 -8.1002 -0.5139
O -5.1830 -14.4697 2.8054
O -1.9854 -3.9999 0.3893
O -4.7612 -10.3694 3.7086
O -2.6650 -0.8450 -3.0831
O -5.4405 -7.2145 0.2366
O -1.2778 -5.5050 -1.8885
O -4.0535 -11.8745 1.4309
O -1.9692 -2.3335 -5.3378
O -4.7448 -8.7031 -2.0181
O -3.7937 -3.4393 -1.7088
O -6.5695 -9.8087 1.6106
O -3.1023 -6.6122 1.7414
O -5.8781 -12.9817 5.0607
```

Computed properties:
V: 460 Å³ per cell



DFT (r²SCAN) results for crystalline Ca3Cr2Si3O12 at its relaxed geometry.

```
80
Lattice="-6.0073 6.0073 6.0073 6.0073 -6.0073 6.0073 6.0073 6.0073 -6.0073" Properties=species:S:1:pos:R:3 pbc="T T T"
Ca 3.0036 1.5018 0.0000
Ca 6.0073 3.0036 -1.5018
Ca 1.5018 0.0000 3.0036
Ca 7.5091 0.0000 3.0036
Ca 0.0000 3.0036 1.5018
Ca 3.0036 -1.5018 6.0073
Ca 3.0036 7.5091 0.0000
Ca 6.0073 3.0036 4.5055
Ca -1.5018 6.0073 3.0036
Ca 4.5055 6.0073 3.0036
Ca 0.0000 3.0036 7.5091
Ca 3.0036 4.5055 6.0073
Cr 0.0000 0.0000 0.0000
Cr 3.0036 3.0036 -3.0036
Cr 3.0036 -3.0036 3.0036
Cr 6.0073 0.0000 0.0000
Cr -3.0036 3.0036 3.0036
Cr 0.0000 6.0073 0.0000
Cr 0.0000 0.0000 6.0073
Cr 3.0036 3.0036 3.0036
Si 9.0109 1.5018 0.0000
Si 6.0073 -3.0036 4.5055
Si 4.5055 6.0073 -3.0036
Si 4.5055 0.0000 3.0036
Si 3.0036 4.5055 0.0000
Si 6.0073 3.0036 1.5018
Si 0.0000 3.0036 4.5055
Si 3.0036 1.5018 6.0073
Si 1.5018 6.0073 3.0036
Si 1.5018 0.0000 9.0109
Si 0.0000 9.0109 1.5018
Si -3.0036 4.5055 6.0073
O 1.8550 -0.4719 0.5733
O 7.1560 3.5770 -3.4756
O 7.8622 0.4719 0.5733
O 7.1560 -2.4303 3.4756
O 5.5353 -0.5733 1.8550
O 9.4828 -1.1487 2.4303
O 0.5733 1.8550 -0.4719
O 8.4376 2.5317 -1.1487
O 3.5770 3.4756 -1.1487
O 5.4340 1.8550 0.4719
O -0.4719 0.5733 1.8550
O 3.4756 -1.1487 3.5770
O 5.5353 5.4340 -1.8550
O 3.4756 1.1487 2.4303
O 3.5770 -3.4756 7.1560
O 5.4340 -1.8550 5.5353
O 2.4303 3.4756 1.1487
O 6.5806 4.1523 0.4719
O 3.4756 7.1560 -2.4303
O 5.5353 0.5733 4.1523
O 1.8550 5.5353 -0.5733
O 7.1560 2.4303 2.5317
O 1.1487 2.4303 3.4756
O 1.8550 0.4719 5.4340
O 4.1523 5.5353 0.5733
O 4.8586 3.5770 2.5317
O -1.1487 3.5770 3.4756
O 4.1523 0.4719 6.5806
O 0.4719 5.4340 1.8550
O 2.5317 -1.1487 8.4376
O -0.5733 1.8550 5.5353
O 3.5770 2.5317 4.8586
O 0.5733 7.8622 0.4719
O 2.4303 9.4828 -1.1487
O 2.5317 4.8586 3.5770
O 0.4719 0.5733 7.8622
O 2.5317 7.1560 2.4303
O 6.4792 5.4340 4.1523
O 0.5733 4.1523 5.5353
O 2.4303 2.5317 7.1560
O -2.4303 3.4756 7.1560
O 5.4340 4.1523 6.4792
O -3.4756 7.1560 3.5770
O 0.4719 6.5806 4.1523
O -1.1487 8.4376 2.5317
O -1.8550 5.5353 5.4340
O -1.1487 2.4303 9.4828
O 4.1523 6.4792 5.4340
```

Computed properties:
V: 867 Å³ per cell



DFT (r²SCAN) results for crystalline CsCaF3 at its relaxed geometry.

```
5
Lattice="4.5205 0.0000 0.0000 0.0000 4.5205 0.0000 0.0000 0.0000 4.5205" Properties=species:S:1:pos:R:3 pbc="T T T"
Cs 0.0000 0.0000 0.0000
Ca 2.2603 2.2603 2.2603
F 0.0000 2.2603 2.2603
F 2.2603 0.0000 2.2603
F 2.2603 2.2603 0.0000
```

Computed properties:
V: 92 Å³ per cell



DFT (r²SCAN) results for crystalline CsCaI3 at its relaxed geometry.

```
20
Lattice="10.7171 0.0000 0.0000 0.0000 4.7281 0.0000 0.0000 0.0000 17.7989" Properties=species:S:1:pos:R:3 pbc="T T T"
Cs 0.7599 1.1820 3.0938
Cs 4.5986 3.5461 11.9933
Cs 6.1185 1.1820 5.8057
Cs 9.9572 3.5461 14.7051
Ca 1.7349 3.5461 7.8863
Ca 3.6237 1.1820 16.7858
Ca 7.0934 3.5461 1.0131
Ca 8.9823 1.1820 9.9126
I 0.2821 3.5461 10.7282
I 1.8204 3.5461 0.0618
I 2.2809 1.1820 14.0401
I 3.0777 3.5461 5.1407
I 3.5382 1.1820 8.9613
I 5.0764 1.1820 1.8287
I 5.6407 3.5461 15.9702
I 7.1789 3.5461 8.8376
I 7.6395 1.1820 12.6583
I 8.4363 3.5461 3.7588
I 8.8968 1.1820 17.7371
I 10.4350 1.1820 7.0708
```

Computed properties:
V: 902 Å³ per cell



DFT (r²SCAN) results for crystalline CsCaI3 at its relaxed geometry.

```
20
Lattice="8.7826 0.0000 0.0000 0.0000 12.2881 0.0000 0.0000 0.0000 8.5759" Properties=species:S:1:pos:R:3 pbc="T T T"
Cs 0.5169 3.0720 0.1617
Cs 3.8744 9.2161 4.4496
Cs 4.9082 3.0720 4.1263
Cs 8.2657 9.2161 8.4142
Ca 0.0000 0.0000 4.2879
Ca 0.0000 6.1441 4.2879
Ca 4.3913 0.0000 0.0000
Ca 4.3913 6.1441 0.0000
I 0.0233 9.2161 3.7047
I 1.8278 6.5689 6.8047
I 1.8278 11.8633 6.8047
I 2.5635 0.4249 2.5168
I 2.5635 5.7192 2.5168
I 4.3680 3.0720 7.9926
I 4.4146 9.2161 0.5833
I 6.2191 6.5689 6.0591
I 6.2191 11.8633 6.0591
I 6.9548 0.4249 1.7712
I 6.9548 5.7192 1.7712
I 8.7593 3.0720 4.8712
```

Computed properties:
V: 926 Å³ per cell



DFT (r²SCAN) results for crystalline CsCaI3 at its relaxed geometry.

```
5
Lattice="4.3673 -4.3745 0.0000 4.3673 4.3745 0.0000 -0.0001 0.0000 6.1708" Properties=species:S:1:pos:R:3 pbc="T T T"
Cs 0.0000 0.0000 0.0000
Ca 4.3698 0.0000 3.0476
I 2.1932 2.1932 3.0464
I 4.3518 0.0000 6.1316
I 2.1932 -2.1932 3.0464
```

Computed properties:
V: 236 Å³ per cell



DFT (r²SCAN) results for crystalline CaCu at its relaxed geometry.

```
20
Lattice="5.7872 0.0000 0.0000 0.0000 4.1882 0.0000 -1.5553 0.0000 19.4961" Properties=species:S:1:pos:R:3 pbc="T T T"
Ca -0.0011 1.0471 3.3398
Ca -0.0813 3.1412 12.2528
Ca 1.4566 3.1412 0.5414
Ca 1.3914 3.1412 8.3429
Ca 1.3462 1.0471 15.0451
Ca 2.8858 3.1412 4.4511
Ca 2.8405 1.0471 11.1533
Ca 2.7753 1.0471 18.9548
Ca 4.3132 1.0471 7.2433
Ca 4.2330 3.1412 16.1564
Cu 0.1097 3.1412 5.6220
Cu -0.1919 1.0471 9.9676
Cu 0.0291 1.0471 17.7714
Cu 1.2804 1.0471 6.0702
Cu 1.2059 3.1412 17.3224
Cu 3.0260 1.0471 2.1738
Cu 2.9516 3.1412 13.4259
Cu 4.2029 3.1412 1.7248
Cu 4.4238 3.1412 9.5285
Cu 4.1223 1.0471 13.8742
```

Computed properties:
V: 473 Å³ per cell



DFT (r²SCAN) results for crystalline CaCu at its relaxed geometry.

```
40
Lattice="39.1075 0.0000 0.0000 0.0000 4.1962 0.0000 0.0000 0.0000 5.7573" Properties=species:S:1:pos:R:3 pbc="T T T"
Ca 1.3971 1.0490 0.7076
Ca 2.5046 3.1471 3.5807
Ca 5.3148 1.0490 2.1495
Ca 6.4060 3.1471 5.0473
Ca 9.2195 1.0490 3.6121
Ca 10.3342 3.1471 0.7335
Ca 13.1477 1.0490 2.1686
Ca 14.2389 3.1471 5.0281
Ca 17.0491 1.0490 0.7021
Ca 18.1567 3.1471 3.5862
Ca 20.9508 1.0490 2.1710
Ca 22.0583 3.1471 5.0552
Ca 24.8686 1.0490 0.7292
Ca 25.9598 3.1471 3.5886
Ca 28.7733 1.0490 5.0238
Ca 29.8879 3.1471 2.1451
Ca 32.7014 1.0490 0.7100
Ca 33.7926 3.1471 3.6078
Ca 36.6029 1.0490 2.1766
Ca 37.7104 3.1471 5.0497
Cu 0.2301 1.0490 3.4528
Cu 3.6867 3.1471 0.5760
Cu 4.1188 1.0490 5.1724
Cu 7.6017 3.1471 2.0204
Cu 8.0349 1.0490 0.8608
Cu 11.5188 3.1471 3.7395
Cu 11.9520 1.0490 4.8990
Cu 15.4349 3.1471 2.2937
Cu 15.8671 1.0490 3.4547
Cu 19.3236 3.1471 0.5742
Cu 19.7838 1.0490 5.1831
Cu 23.2404 3.1471 2.3026
Cu 23.6726 1.0490 3.4635
Cu 27.1554 3.1471 0.8582
Cu 27.5887 1.0490 2.0178
Cu 31.0725 3.1471 4.8964
Cu 31.5058 1.0490 3.7369
Cu 34.9886 3.1471 0.5849
Cu 35.4208 1.0490 5.1812
Cu 38.8774 3.1471 2.3044
```

Computed properties:
V: 945 Å³ per cell



DFT (r²SCAN) results for crystalline CaCu5 at its relaxed geometry.

```
6
Lattice="5.0456 0.0000 0.0000 -2.5228 4.3696 0.0000 0.0000 0.0000 4.0174" Properties=species:S:1:pos:R:3 pbc="T T T"
Ca 0.0000 0.0000 0.0000
Cu -1.2614 2.1848 2.0087
Cu 0.0000 2.9131 0.0000
Cu 2.5228 0.0000 2.0087
Cu 1.2614 2.1848 2.0087
Cu 2.5228 1.4565 0.0000
```

Computed properties:
V: 89 Å³ per cell



Number 1: E_tot -110.89 eV for the cell shown. Number 2: E_tot -253.06 eV for the cell shown. Number 3: E_tot -319.89 eV for the cell shown. Number 4: E_tot -320.45 eV for the cell shown. Number 5: E_tot -466.97 eV for the cell shown. Number 6: E_tot -844.89 eV for the cell shown. Number 7: E_tot -60.10 eV for the cell shown. Number 8: E_tot -460.33 eV for the cell shown. Number 9: E_tot -460.13 eV for the cell shown. Number 10: E_tot -114.98 eV for the cell shown. Number 11: E_tot -180.99 eV for the cell shown. Number 12: E_tot -361.98 eV for the cell shown. Number 13: E_tot -61.93 eV for the cell shown.